--- A ---
Entry from the Materials Project database: a relaxed Ta2PbO6 crystal (PBE).

abc: 15.900 6.133 5.274
angles: 90.00 90.00 90.00
Space group Pbcn (No. 60)
Symmetry-distinct sites (fractional):
Ta  0.171  0.175  0.229
Pb  0.000  0.295  0.750
O  0.093  0.375  0.133
O  0.114  0.075  0.535
O  0.245  0.143  0.908



--- B ---
Entry from the Materials Project database: a relaxed Ta2PbO6 crystal (PBE).

abc: 11.195 7.736 5.744
angles: 90.00 90.00 90.00
Space group Pnma (No. 62)
Symmetry-distinct sites (fractional):
Ta  0.143  0.003  0.038
Pb  0.038  0.750  0.540
O  0.023  0.034  0.786
O  0.131  0.250  0.135
O  0.146  0.750  0.974
O  0.217  0.546  0.354



Stability, descending: B, A



--- A ---
Entry from the Materials Project database: a relaxed ZrTiPb2O6 crystal (PBE).

abc: 4.028 4.028 8.762
angles: 90.00 90.00 90.00
Space group P4mm (No. 99)
Symmetry-distinct sites (fractional):
Zr  0.000  0.000  0.000
Ti  0.000  0.000  0.504
Pb  0.500  0.500  0.242
Pb  0.500  0.500  0.709
O  0.000  0.000  0.303
O  0.000  0.000  0.774
O  0.000  0.500  0.062
O  0.000  0.500  0.537



--- B ---
Entry from the Materials Project database: a relaxed ZrTiPb2O6 crystal (PBE).

abc: 4.194 5.775 5.855
angles: 88.52 88.91 89.30
Space group P1 (No. 1)
Symmetry-distinct sites (fractional):
Zr  0.000  0.000  0.000
Ti  0.973  0.495  0.493
Pb  0.452  0.979  0.466
Pb  0.458  0.493  0.943
O  0.028  0.263  0.284
O  0.034  0.761  0.291
O  0.038  0.278  0.768
O  0.039  0.749  0.767
O  0.511  0.016  0.042
O  0.538  0.514  0.527



--- C ---
Entry from the Materials Project database: a relaxed ZrTiPb2O6 crystal (PBE).

abc: 5.693 5.693 4.430
angles: 90.00 90.00 90.00
Space group P4mm (No. 99)
Symmetry-distinct sites (fractional):
Zr  0.000  0.000  0.000
Ti  0.500  0.500  0.991
Pb  0.000  0.500  0.438
O  0.000  0.000  0.552
O  0.259  0.259  0.090
O  0.500  0.500  0.596



Stability, descending: C, B, A